Record 1
Er4Pt | PBE-GGA | optimized geometry

a = 7.715 Å, b = 7.715 Å, c = 7.715 Å
α = 60.00°, β = 60.00°, γ = 60.00°
Fractional positions:
Er1 0.206 0.765 0.765
Er2 0.235 0.235 0.235
Er3 0.235 0.235 0.794
Er4 0.235 0.794 0.235
Er5 0.765 0.206 0.765
Er6 0.765 0.765 0.206
Er7 0.765 0.765 0.765
Er8 0.794 0.235 0.235
Pt1 0.375 0.375 0.375
Pt2 0.625 0.625 0.625

SG   No. 227



Record 2
Er5Pt4 | PBE-GGA | optimized geometry

a = 7.430 Å, b = 14.629 Å, c = 7.528 Å
α = 90.00°, β = 90.00°, γ = 90.00°
Fractional positions:
Er1 0.001 0.092 0.180
Er2 0.001 0.408 0.180
Er3 0.157 0.123 0.668
Er4 0.157 0.377 0.668
Er5 0.181 0.750 0.512
Er6 0.319 0.250 0.012
Er7 0.343 0.623 0.168
Er8 0.343 0.877 0.168
Er9 0.499 0.592 0.680
Er10 0.499 0.908 0.680
Er11 0.501 0.092 0.320
Er12 0.501 0.408 0.320
Er13 0.657 0.123 0.832
Er14 0.657 0.377 0.832
Er15 0.681 0.750 0.988
Er16 0.819 0.250 0.488
Er17 0.843 0.623 0.332
Er18 0.843 0.877 0.332
Er19 0.999 0.592 0.820
Er20 0.999 0.908 0.820
Pt1 0.046 0.750 0.112
Pt2 0.183 0.542 0.467
Pt3 0.183 0.958 0.467
Pt4 0.184 0.250 0.357
Pt5 0.316 0.750 0.857
Pt6 0.317 0.042 0.967
Pt7 0.317 0.458 0.967
Pt8 0.454 0.250 0.612
Pt9 0.546 0.750 0.388
Pt10 0.683 0.542 0.033
Pt11 0.683 0.958 0.033
Pt12 0.684 0.250 0.143
Pt13 0.816 0.750 0.643
Pt14 0.817 0.042 0.533
Pt15 0.817 0.458 0.533
Pt16 0.954 0.250 0.888

SG   No. 62



Record 3
ErPt5 | PBE-GGA | optimized geometry

a = 5.338 Å, b = 5.338 Å, c = 4.477 Å
α = 90.00°, β = 90.00°, γ = 120.00°
Fractional positions:
Er1 0.000 0.000 0.000
Pt1 0.000 0.500 0.500
Pt2 0.333 0.667 0.000
Pt3 0.500 0.000 0.500
Pt4 0.500 0.500 0.500
Pt5 0.667 0.333 0.000

SG   No. 191



Record 4
Er5Pt3 | PBE-GGA | optimized geometry

a = 8.348 Å, b = 8.348 Å, c = 6.114 Å
α = 90.00°, β = 90.00°, γ = 60.07°
Fractional positions:
Er1 0.000 0.246 0.750
Er2 0.000 0.754 0.250
Er3 0.246 0.000 0.250
Er4 0.246 0.754 0.750
Er5 0.333 0.333 0.000
Er6 0.333 0.333 0.500
Er7 0.667 0.667 0.000
Er8 0.667 0.667 0.500
Er9 0.754 0.000 0.750
Er10 0.754 0.246 0.250
Pt1 0.000 0.393 0.250
Pt2 0.000 0.607 0.750
Pt3 0.393 0.000 0.750
Pt4 0.393 0.607 0.250
Pt5 0.607 0.000 0.250
Pt6 0.607 0.393 0.750

SG   No. 63



Record 5
ErPt2 | PBE-GGA | optimized geometry

a = 5.421 Å, b = 5.421 Å, c = 5.421 Å
α = 60.00°, β = 60.00°, γ = 60.00°
Fractional positions:
Er1 0.125 0.125 0.125
Er2 0.875 0.875 0.875
Pt1 0.000 0.500 0.500
Pt2 0.500 0.000 0.500
Pt3 0.500 0.500 0.000
Pt4 0.500 0.500 0.500

SG   No. 227



Record 6
Er5SbPt2 | PBE-GGA | optimized geometry

a = 8.715 Å, b = 8.715 Å, c = 8.715 Å
α = 127.71°, β = 127.71°, γ = 77.09°
Fractional positions:
Er1 0.000 0.000 0.000
Er2 0.022 0.522 0.820
Er3 0.202 0.022 0.500
Er4 0.298 0.798 0.820
Er5 0.478 0.298 0.500
Er6 0.500 0.500 0.000
Er7 0.522 0.702 0.500
Er8 0.702 0.202 0.180
Er9 0.798 0.978 0.500
Er10 0.978 0.478 0.180
Sb1 0.250 0.250 0.000
Sb2 0.750 0.750 0.000
Pt1 0.135 0.365 0.500
Pt2 0.365 0.865 0.229
Pt3 0.635 0.135 0.771
Pt4 0.865 0.635 0.500

SG   No. 140



DFT formation energy: -35; -1200; -642; -1032; -1104; -1006 (meV/atom)